1.
Entry from Materials Project: a relaxed PrCuGe2 crystal (r²SCAN).

Lattice parameters (Å, degrees): 4.301 17.262 4.207 90.00 90.00 90.00
Sites, in units of the cell vectors:
Pr  0.000  0.105  0.250
Pr  0.000  0.895  0.750
Pr  0.500  0.395  0.750
Pr  0.500  0.605  0.250
Cu  0.000  0.324  0.250
Cu  0.000  0.676  0.750
Cu  0.500  0.176  0.750
Cu  0.500  0.824  0.250
Ge  0.000  0.249  0.750
Ge  0.000  0.461  0.250
Ge  0.000  0.539  0.750
Ge  0.000  0.751  0.250
Ge  0.500  0.039  0.750
Ge  0.500  0.251  0.250
Ge  0.500  0.749  0.750
Ge  0.500  0.961  0.250

Output
formation energy from the elements: -0.637 eV/atom
spin magnetization: 0.0 μB per formula unit


2.
Entry from Materials Project: a relaxed K2UF6 crystal (r²SCAN).

Lattice parameters (Å, degrees): 7.193 7.193 7.209 98.69 98.69 120.61
Sites, in units of the cell vectors:
K  0.090  0.910  0.750
K  0.242  0.758  0.250
K  0.758  0.242  0.750
K  0.910  0.090  0.250
U  0.420  0.580  0.750
U  0.580  0.420  0.250
F  0.102  0.253  0.632
F  0.173  0.621  0.874
F  0.253  0.102  0.132
F  0.334  0.475  0.390
F  0.379  0.827  0.626
F  0.475  0.334  0.890
F  0.525  0.666  0.110
F  0.621  0.173  0.374
F  0.666  0.525  0.610
F  0.747  0.898  0.868
F  0.827  0.379  0.126
F  0.898  0.747  0.368

Output
formation energy from the elements: -3.658 eV/atom
spin magnetization: 2.0 μB per formula unit


3.
Entry from Materials Project: a relaxed Mg3Ta2Al18 crystal (r²SCAN).

Lattice parameters (Å, degrees): 10.404 10.404 10.404 60.00 60.00 60.00
Sites, in units of the cell vectors:
Mg  0.000  0.000  0.000
Mg  0.000  0.000  0.500
Mg  0.000  0.500  0.000
Mg  0.125  0.125  0.125
Mg  0.500  0.000  0.000
Mg  0.875  0.875  0.875
Ta  0.000  0.500  0.500
Ta  0.500  0.000  0.500
Ta  0.500  0.500  0.000
Ta  0.500  0.500  0.500
Al  0.058  0.323  0.323
Al  0.058  0.323  0.795
Al  0.058  0.795  0.323
Al  0.205  0.677  0.677
Al  0.205  0.677  0.942
Al  0.205  0.942  0.677
Al  0.233  0.233  0.517
Al  0.233  0.517  0.233
Al  0.233  0.517  0.517
Al  0.323  0.058  0.323
Al  0.323  0.058  0.795
Al  0.323  0.323  0.058
Al  0.323  0.323  0.795
Al  0.323  0.795  0.058
Al  0.323  0.795  0.323
Al  0.483  0.483  0.767
Al  0.483  0.767  0.483
Al  0.483  0.767  0.767
Al  0.517  0.233  0.233
Al  0.517  0.233  0.517
Al  0.517  0.517  0.233
Al  0.677  0.205  0.677
Al  0.677  0.205  0.942
Al  0.677  0.677  0.205
Al  0.677  0.677  0.942
Al  0.677  0.942  0.205
Al  0.677  0.942  0.677
Al  0.767  0.483  0.483
Al  0.767  0.483  0.767
Al  0.767  0.767  0.483
Al  0.795  0.058  0.323
Al  0.795  0.323  0.058
Al  0.795  0.323  0.323
Al  0.942  0.205  0.677
Al  0.942  0.677  0.205
Al  0.942  0.677  0.677

Output
formation energy from the elements: -0.135 eV/atom
spin magnetization: 0.0 μB per formula unit